B40H51F3, relaxed, DFT PBE-GGA; relative energy among the computed polymorphs = 0 meV/atom; corrected total energy (MP2020 scheme) = -4.8760 eV/atom; total energy = -457.0 eV per cell; DFT formation energy = -132 meV per atom
1.0
-2.1926 1.7757 6.5627
-12.3848 -1.0182 -3.8793
3.4093 -11.6794 4.2497
B H F
40 51 3
Direct
0.0157 0.7109 0.1133 B
0.0369 0.7906 0.3501 B
0.0352 0.6462 0.2980 B
0.9995 0.8446 0.2369 B
0.0711 0.1093 0.6671 B
0.1699 0.3565 0.8623 B
0.1649 0.6324 0.1731 B
0.2134 0.8599 0.3076 B
0.2415 0.7241 0.2978 B
0.2218 0.7658 0.1788 B
0.2818 0.8021 0.7186 B
0.2961 0.6901 0.7721 B
0.3515 0.8198 0.8563 B
0.3432 0.6746 0.6325 B
0.4193 0.1651 0.1081 B
0.4112 0.3354 0.3713 B
0.4827 0.6094 0.7101 B
0.4665 0.8864 0.7728 B
0.4928 0.7066 0.8578 B
0.4725 0.7921 0.6305 B
0.5060 0.2070 0.3579 B
0.5260 0.2933 0.1301 B
0.5151 0.1087 0.2098 B
0.5308 0.3862 0.2723 B
0.5814 0.6655 0.6102 B
0.5888 0.8343 0.8697 B
0.6480 0.3204 0.3563 B
0.6569 0.1757 0.1330 B
0.7017 0.1904 0.2722 B
0.7164 0.3030 0.2191 B
0.7584 0.2235 0.7970 B
0.7780 0.2659 0.6785 B
0.8346 0.1322 0.6726 B
0.7864 0.3599 0.8078 B
0.9282 0.6082 0.1661 B
0.8313 0.8576 0.3634 B
0.9639 0.1459 0.7981 B
0.0003 0.3450 0.7376 B
0.9628 0.2907 0.8504 B
0.9835 0.2114 0.6138 B
0.0005 0.7066 0.0200 H
0.9550 0.8347 0.4394 H
0.0441 0.5849 0.3515 H
0.1106 0.9275 0.2678 H
0.1444 0.8449 0.6977 H
0.1680 0.6430 0.7975 H
0.1548 0.1979 0.6471 H
0.3112 0.3062 0.8547 H
0.1382 0.1513 0.7714 H
0.1074 0.3978 0.7017 H
0.1742 0.4520 0.8954 H
0.2401 0.6277 0.5622 H
0.2580 0.8682 0.9309 H
0.3440 0.1358 0.1954 H
0.3573 0.2741 0.1577 H
0.2938 0.3883 0.4265 H
0.3360 0.2367 0.3389 H
0.2610 0.5592 0.1261 H
0.3272 0.9252 0.3502 H
0.3694 0.7062 0.3497 H
0.3249 0.7900 0.1167 H
0.5086 0.6674 0.9308 H
0.4834 0.8318 0.5578 H
0.4896 0.5157 0.7008 H
0.4973 0.9781 0.7802 H
0.5109 0.0146 0.1985 H
0.5006 0.4779 0.2796 H
0.4920 0.1671 0.4304 H
0.5167 0.3304 0.0556 H
0.6304 0.2053 0.8481 H
0.6737 0.2901 0.6167 H
0.7392 0.0584 0.6251 H
0.6719 0.4248 0.8488 H
0.6578 0.6331 0.6904 H
0.6616 0.7345 0.8367 H
0.6458 0.7679 0.6528 H
0.7115 0.8864 0.9216 H
0.6699 0.6225 0.5323 H
0.7587 0.1285 0.0626 H
0.7435 0.3684 0.4306 H
0.8298 0.9532 0.3951 H
0.8607 0.6502 0.2701 H
0.8931 0.8971 0.2002 H
0.8442 0.6963 0.1459 H
0.6893 0.8080 0.3586 H
0.8293 0.1426 0.2972 H
0.8544 0.3449 0.1979 H
0.9561 0.0848 0.8519 H
0.8899 0.4278 0.7683 H
0.0488 0.3332 0.9391 H
0.9976 0.2071 0.5205 H
0.1638 0.0190 0.6151 F
0.3162 0.1167 0.0211 F
0.8376 0.5172 0.1143 F

KB6H2OF6, relaxed, DFT PBE-GGA; corrected total energy (MP2020 scheme) = -5.9535 eV/atom; total energy = -367.2 eV per cell; DFT formation energy = -1928 meV per atom
1.0
-7.2993 0.0000 1.8084
0.0332 0.0000 -9.5004
0.0000 -11.6600 0.0000
K B H O F
4 24 8 4 24
Direct
0.8738 0.0608 0.6553 K
0.1262 0.4392 0.1553 K
0.1262 0.9392 0.3447 K
0.8738 0.5608 0.8447 K
0.6172 0.1373 0.9163 B
0.3828 0.3627 0.4163 B
0.3828 0.8627 0.0837 B
0.6172 0.6373 0.5837 B
0.7017 0.9804 0.9448 B
0.2983 0.5196 0.4448 B
0.2983 0.0196 0.0552 B
0.7017 0.4804 0.5552 B
0.6956 0.1083 0.0576 B
0.3044 0.3917 0.5576 B
0.3044 0.8917 0.9424 B
0.6956 0.6083 0.4424 B
0.4905 0.1717 0.0383 B
0.5095 0.3283 0.5383 B
0.5095 0.8283 0.9617 B
0.4905 0.6717 0.4617 B
0.3697 0.0839 0.9141 B
0.6303 0.4161 0.4141 B
0.6303 0.9161 0.0859 B
0.3697 0.5839 0.5859 B
0.5017 0.9661 0.8571 B
0.4983 0.5339 0.3571 B
0.4983 0.0339 0.1429 B
0.5017 0.4661 0.6429 B
0.2837 0.0061 0.6075 H
0.7163 0.4939 0.1075 H
0.7163 0.9939 0.3925 H
0.2837 0.5061 0.8925 H
0.1765 0.8459 0.6162 H
0.8235 0.6541 0.1162 H
0.8235 0.1541 0.3838 H
0.1765 0.3459 0.8838 H
0.1662 0.9399 0.5873 O
0.8338 0.5601 0.0873 O
0.8338 0.0601 0.4127 O
0.1662 0.4399 0.9127 O
0.7222 0.2450 0.8451 F
0.2778 0.2550 0.3451 F
0.2778 0.7550 0.1549 F
0.7222 0.7450 0.6549 F
0.8627 0.9665 0.8915 F
0.1373 0.5335 0.3915 F
0.1373 0.0335 0.1085 F
0.8627 0.4665 0.6085 F
0.8530 0.2005 0.1036 F
0.1470 0.2995 0.6036 F
0.1470 0.7995 0.8964 F
0.8530 0.7005 0.3964 F
0.4822 0.3118 0.0703 F
0.5178 0.1882 0.5703 F
0.5178 0.6882 0.9297 F
0.4822 0.8118 0.4297 F
0.2647 0.1519 0.8444 F
0.7353 0.3481 0.3444 F
0.7353 0.8481 0.1556 F
0.2647 0.6519 0.6556 F
0.5131 0.9433 0.7392 F
0.4869 0.5567 0.2392 F
0.4869 0.0567 0.2608 F
0.5131 0.4433 0.7608 F

KB6H4O2F6, relaxed, DFT PBE-GGA; corrected total energy (MP2020 scheme) = -5.8267 eV/atom; total energy = -426.2 eV per cell; DFT formation energy = -1819 meV per atom
1.0
-2.2002 6.6377 -5.0158
-1.7328 -7.1793 -4.8237
-10.2011 -0.9092 8.2312
K B H O F
4 24 16 8 24
Direct
0.5681 0.3420 0.8860 K
0.4319 0.6580 0.1140 K
0.9675 0.1817 0.6102 K
0.0325 0.8183 0.3898 K
0.4006 0.3848 0.5727 B
0.5994 0.6152 0.4273 B
0.6008 0.5288 0.6319 B
0.3992 0.4712 0.3681 B
0.4194 0.5942 0.5895 B
0.5806 0.4058 0.4105 B
0.2876 0.4557 0.4683 B
0.7124 0.5443 0.5317 B
0.3872 0.3059 0.4364 B
0.6128 0.6941 0.5636 B
0.5808 0.3532 0.5373 B
0.4192 0.6468 0.4627 B
0.8052 0.9085 0.9157 B
0.1948 0.0915 0.0843 B
0.9296 0.7948 0.9786 B
0.0704 0.2052 0.0214 B
0.9908 0.8963 0.8773 B
0.0092 0.1037 0.1227 B
0.9441 0.0837 0.8937 B
0.0559 0.9163 0.1063 B
0.8557 0.0980 0.0043 B
0.1443 0.9020 0.9957 B
0.8468 0.9202 0.0570 B
0.1532 0.0798 0.9430 B
0.5035 0.9626 0.7491 H
0.4965 0.0374 0.2509 H
0.5408 0.0731 0.6699 H
0.4592 0.9269 0.3301 H
0.2496 0.9877 0.6446 H
0.7504 0.0123 0.3554 H
0.0806 0.8721 0.6469 H
0.9194 0.1279 0.3531 H
0.9884 0.4726 0.8088 H
0.0116 0.5274 0.1912 H
0.0523 0.5642 0.7270 H
0.9477 0.4358 0.2730 H
0.2783 0.5292 0.8482 H
0.7217 0.4708 0.1518 H
0.4540 0.6499 0.8671 H
0.5460 0.3501 0.1329 H
0.4762 0.0531 0.7216 O
0.5238 0.9469 0.2784 O
0.3948 0.5581 0.8921 O
0.6052 0.4419 0.1079 O
0.1298 0.9470 0.6061 O
0.8702 0.0530 0.3939 O
0.0630 0.4755 0.7624 O
0.9370 0.5245 0.2376 O
0.3184 0.2920 0.6344 F
0.6816 0.7080 0.3656 F
0.6787 0.5390 0.7387 F
0.3213 0.4610 0.2613 F
0.3499 0.6664 0.6613 F
0.6501 0.3336 0.3387 F
0.1138 0.4187 0.4450 F
0.8862 0.5813 0.5550 F
0.2975 0.1465 0.3897 F
0.7025 0.8535 0.6103 F
0.6470 0.2324 0.5708 F
0.3530 0.7676 0.4292 F
0.6424 0.8405 0.8500 F
0.3576 0.1595 0.1500 F
0.8765 0.6277 0.9643 F
0.1235 0.3723 0.0357 F
0.9918 0.8139 0.7791 F
0.0082 0.1861 0.2209 F
0.8977 0.1561 0.8079 F
0.1023 0.8439 0.1921 F
0.7359 0.1780 0.0064 F
0.2641 0.8220 0.9936 F
0.7217 0.8559 0.1045 F
0.2783 0.1441 0.8955 F